No. 1
{"formula": "CaAsH3O5", "functional": "PBE-GGA", "state": "optimized geometry", "lattice_angstrom": [[-0.134, 6.727, -1.888], [-6.633, 1.095, 4.370], [9.168, 3.821, 12.960]], "species": ["Ca", "Ca", "Ca", "Ca", "Ca", "Ca", "Ca", "Ca", "As", "As", "As", "As", "As", "As", "As", "As", "H", "H", "H", "H", "H", "H", "H", "H", "H", "H", "H", "H", "H", "H", "H", "H", "H", "H", "H", "H", "H", "H", "H", "H", "O", "O", "O", "O", "O", "O", "O", "O", "O", "O", "O", "O", "O", "O", "O", "O", "O", "O", "O", "O", "O", "O", "O", "O", "O", "O", "O", "O", "O", "O", "O", "O", "O", "O", "O", "O", "O", "O", "O", "O"], "fractional_positions": [[0.375, 0.183, 0.453], [0.125, 0.317, 0.953], [0.875, 0.317, 0.547], [0.625, 0.183, 0.047], [0.625, 0.817, 0.547], [0.875, 0.683, 0.047], [0.125, 0.683, 0.453], [0.375, 0.817, 0.953], [0.871, 0.058, 0.391], [0.629, 0.442, 0.891], [0.371, 0.442, 0.609], [0.129, 0.058, 0.109], [0.129, 0.942, 0.609], [0.371, 0.558, 0.109], [0.629, 0.558, 0.391], [0.871, 0.942, 0.891], [0.687, 0.235, 0.317], [0.813, 0.265, 0.817], [0.187, 0.265, 0.683], [0.313, 0.235, 0.183], [0.313, 0.765, 0.683], [0.187, 0.735, 0.183], [0.813, 0.735, 0.317], [0.687, 0.765, 0.817], [0.315, 0.011, 0.288], [0.185, 0.489, 0.788], [0.815, 0.489, 0.712], [0.685, 0.011, 0.212], [0.685, 0.989, 0.712], [0.815, 0.511, 0.212], [0.185, 0.511, 0.288], [0.315, 0.989, 0.788], [0.419, 0.878, 0.348], [0.081, 0.622, 0.848], [0.919, 0.622, 0.652], [0.581, 0.878, 0.152], [0.581, 0.122, 0.652], [0.919, 0.378, 0.152], [0.081, 0.378, 0.348], [0.419, 0.122, 0.848], [0.780, 0.144, 0.299], [0.720, 0.356, 0.799], [0.280, 0.356, 0.701], [0.220, 0.144, 0.201], [0.220, 0.856, 0.701], [0.280, 0.644, 0.201], [0.720, 0.644, 0.299], [0.780, 0.856, 0.799], [0.040, 0.196, 0.427], [0.460, 0.304, 0.927], [0.540, 0.304, 0.573], [0.960, 0.196, 0.073], [0.960, 0.804, 0.573], [0.540, 0.696, 0.073], [0.460, 0.696, 0.427], [0.040, 0.804, 0.927], [0.952, 0.865, 0.367], [0.548, 0.635, 0.867], [0.452, 0.635, 0.633], [0.048, 0.865, 0.133], [0.048, 0.135, 0.633], [0.452, 0.365, 0.133], [0.548, 0.365, 0.367], [0.952, 0.135, 0.867], [0.696, 0.059, 0.465], [0.804, 0.441, 0.965], [0.196, 0.441, 0.535], [0.304, 0.059, 0.035], [0.304, 0.941, 0.535], [0.196, 0.559, 0.035], [0.804, 0.559, 0.465], [0.696, 0.941, 0.965], [0.378, 0.994, 0.341], [0.122, 0.506, 0.841], [0.878, 0.506, 0.659], [0.622, 0.994, 0.159], [0.622, 0.006, 0.659], [0.878, 0.494, 0.159], [0.122, 0.494, 0.341], [0.378, 0.006, 0.841]], "e_form_ev_per_atom": -1.947}

=====

No. 2
{"formula": "Ca2AsI", "functional": "PBE-GGA", "state": "optimized geometry", "lattice_angstrom": [[-4.230, -1.227, -0.026], [-2.372, 0.350, -3.694], [-0.170, -7.253, -3.204]], "species": ["Ca", "Ca", "As", "I"], "fractional_positions": [[0.231, 0.231, 0.307], [0.769, 0.769, 0.693], [0.500, 0.500, 0.500], [0.000, 0.000, 0.000]], "e_form_ev_per_atom": -1.503}

=====

No. 3
{"formula": "Ca3In2As4", "functional": "PBE-GGA", "state": "optimized geometry", "lattice_angstrom": [[4.461, 0.000, 0.000], [0.000, 6.876, 0.000], [0.000, 0.000, 16.780]], "species": ["Ca", "Ca", "Ca", "Ca", "Ca", "Ca", "In", "In", "In", "In", "As", "As", "As", "As", "As", "As", "As", "As"], "fractional_positions": [[0.000, 0.276, 0.804], [0.500, 0.776, 0.696], [0.000, 0.724, 0.196], [0.500, 0.224, 0.304], [0.000, 0.000, 0.000], [0.500, 0.500, 0.500], [0.000, 0.860, 0.412], [0.500, 0.360, 0.088], [0.000, 0.140, 0.588], [0.500, 0.640, 0.912], [0.500, 0.240, 0.929], [0.500, 0.760, 0.071], [0.000, 0.228, 0.173], [0.000, 0.260, 0.429], [0.500, 0.728, 0.327], [0.000, 0.772, 0.827], [0.000, 0.740, 0.571], [0.500, 0.272, 0.673]], "e_form_ev_per_atom": -0.800}

=====

No. 4
{"formula": "Ca4As7Ir8", "functional": "PBE-GGA", "state": "optimized geometry", "lattice_angstrom": [[4.124, 0.000, 0.000], [0.000, 13.079, 0.000], [0.000, 1.931, 13.498]], "species": ["Ca", "Ca", "Ca", "Ca", "Ca", "Ca", "Ca", "Ca", "As", "As", "As", "As", "As", "As", "As", "As", "As", "As", "As", "As", "As", "As", "Ir", "Ir", "Ir", "Ir", "Ir", "Ir", "Ir", "Ir", "Ir", "Ir", "Ir", "Ir", "Ir", "Ir", "Ir", "Ir"], "fractional_positions": [[0.250, 0.101, 0.798], [0.750, 0.899, 0.202], [0.250, 0.289, 0.105], [0.750, 0.711, 0.895], [0.250, 0.515, 0.290], [0.750, 0.485, 0.710], [0.250, 0.214, 0.433], [0.750, 0.786, 0.567], [0.250, 0.060, 0.101], [0.750, 0.940, 0.899], [0.250, 0.309, 0.689], [0.750, 0.691, 0.311], [0.250, 0.609, 0.566], [0.750, 0.391, 0.434], [0.250, 0.849, 0.721], [0.750, 0.151, 0.279], [0.750, 0.256, 0.920], [0.250, 0.744, 0.080], [0.750, 0.097, 0.585], [0.250, 0.903, 0.415], [0.750, 0.469, 0.128], [0.250, 0.531, 0.872], [0.250, 0.986, 0.573], [0.750, 0.014, 0.427], [0.250, 0.665, 0.730], [0.750, 0.335, 0.270], [0.250, 0.555, 0.048], [0.750, 0.445, 0.952], [0.250, 0.053, 0.281], [0.750, 0.947, 0.719], [0.250, 0.425, 0.528], [0.750, 0.575, 0.472], [0.250, 0.921, 0.998], [0.750, 0.079, 0.002], [0.250, 0.720, 0.401], [0.750, 0.280, 0.599], [0.250, 0.342, 0.861], [0.750, 0.658, 0.139]], "e_form_ev_per_atom": -0.641}

=====

No. 5
{"formula": "KCaAsO12", "functional": "PBE-GGA", "state": "optimized geometry", "lattice_angstrom": [[-3.553, -7.833, 0.000], [-3.553, 7.833, 0.000], [0.000, 0.000, -3.964]], "species": ["K", "Ca", "As", "O", "O", "O", "O", "O", "O", "O", "O", "O", "O", "O", "O"], "fractional_positions": [[0.288, 0.712, 0.500], [0.631, 0.369, 0.500], [0.000, 0.000, 0.000], [0.913, 0.087, 0.716], [0.913, 0.087, 0.284], [0.876, 0.737, 0.000], [0.263, 0.124, 0.000], [0.446, 0.554, 0.842], [0.446, 0.554, 0.158], [0.286, 0.172, 0.500], [0.828, 0.714, 0.500], [0.923, 0.444, 0.837], [0.556, 0.077, 0.163], [0.923, 0.444, 0.163], [0.556, 0.077, 0.837]], "e_form_ev_per_atom": -0.542, "e_above_lowest_polymorph_ev_per_fu": 3.33}

=====

No. 6
{"formula": "K2CaAs2O7", "functional": "PBE-GGA", "state": "optimized geometry", "lattice_angstrom": [[-0.696, 0.188, -5.888], [-3.527, -8.681, 0.139], [-14.725, 1.589, 1.792]], "species": ["K", "K", "K", "K", "K", "K", "K", "K", "Ca", "Ca", "Ca", "Ca", "As", "As", "As", "As", "As", "As", "As", "As", "O", "O", "O", "O", "O", "O", "O", "O", "O", "O", "O", "O", "O", "O", "O", "O", "O", "O", "O", "O", "O", "O", "O", "O", "O", "O", "O", "O"], "fractional_positions": [[0.233, 0.466, 0.336], [0.754, 0.967, 0.114], [0.246, 0.033, 0.886], [0.733, 0.534, 0.164], [0.267, 0.466, 0.836], [0.254, 0.033, 0.386], [0.746, 0.967, 0.614], [0.767, 0.534, 0.664], [0.272, 0.266, 0.137], [0.728, 0.734, 0.863], [0.772, 0.734, 0.363], [0.228, 0.266, 0.637], [0.707, 0.315, 0.472], [0.260, 0.824, 0.198], [0.293, 0.685, 0.528], [0.740, 0.176, 0.802], [0.240, 0.824, 0.698], [0.760, 0.176, 0.302], [0.793, 0.315, 0.972], [0.207, 0.685, 0.028], [0.989, 0.273, 0.249], [0.511, 0.273, 0.749], [0.248, 0.525, 0.612], [0.252, 0.525, 0.112], [0.430, 0.275, 0.499], [0.266, 0.007, 0.194], [0.130, 0.715, 0.431], [0.930, 0.725, 0.001], [0.801, 0.163, 0.426], [0.011, 0.727, 0.751], [0.008, 0.739, 0.229], [0.570, 0.725, 0.501], [0.992, 0.261, 0.771], [0.748, 0.475, 0.888], [0.870, 0.285, 0.569], [0.234, 0.007, 0.694], [0.070, 0.275, 0.999], [0.489, 0.727, 0.251], [0.492, 0.739, 0.729], [0.508, 0.261, 0.271], [0.766, 0.993, 0.306], [0.734, 0.993, 0.806], [0.199, 0.837, 0.574], [0.370, 0.715, 0.931], [0.301, 0.837, 0.074], [0.699, 0.163, 0.926], [0.630, 0.285, 0.069], [0.752, 0.475, 0.388]], "e_form_ev_per_atom": -2.286}

=====

No. 7
{"formula": "KCaAsO12", "functional": "PBE-GGA", "state": "optimized geometry", "lattice_angstrom": [[4.016, -7.643, 0.000], [4.016, 7.643, 0.000], [0.000, 0.000, 5.123]], "species": ["K", "Ca", "As", "O", "O", "O", "O", "O", "O", "O", "O", "O", "O", "O", "O"], "fractional_positions": [[0.749, 0.251, 0.500], [0.209, 0.791, 0.500], [0.024, 0.976, 0.000], [0.100, 0.900, 0.750], [0.100, 0.900, 0.250], [0.134, 0.214, 0.000], [0.786, 0.866, 0.000], [0.575, 0.425, 0.880], [0.575, 0.425, 0.120], [0.851, 0.995, 0.500], [0.005, 0.149, 0.500], [0.070, 0.548, 0.875], [0.452, 0.930, 0.125], [0.070, 0.548, 0.125], [0.452, 0.930, 0.875]], "e_form_ev_per_atom": -0.764, "e_above_lowest_polymorph_ev_per_fu": 0.00}

=====

No. 8
{"formula": "NaCa2Mg2As3O12", "functional": "PBE-GGA", "state": "optimized geometry", "lattice_angstrom": [[-6.261, 6.261, 6.263], [6.261, -6.261, 6.263], [6.261, 6.261, -6.263]], "species": ["Na", "Na", "Na", "Na", "Ca", "Ca", "Ca", "Ca", "Ca", "Ca", "Ca", "Ca", "Mg", "Mg", "Mg", "Mg", "Mg", "Mg", "Mg", "Mg", "As", "As", "As", "As", "As", "As", "As", "As", "As", "As", "As", "As", "O", "O", "O", "O", "O", "O", "O", "O", "O", "O", "O", "O", "O", "O", "O", "O", "O", "O", "O", "O", "O", "O", "O", "O", "O", "O", "O", "O", "O", "O", "O", "O", "O", "O", "O", "O", "O", "O", "O", "O", "O", "O", "O", "O", "O", "O", "O", "O"], "fractional_positions": [[0.750, 0.750, 0.000], [0.500, 0.000, 0.500], [0.250, 0.250, 0.000], [0.000, 0.500, 0.500], [0.125, 0.752, 0.127], [0.002, 0.875, 0.627], [0.125, 0.252, 0.627], [0.502, 0.875, 0.127], [0.625, 0.998, 0.873], [0.248, 0.375, 0.373], [0.625, 0.498, 0.373], [0.748, 0.375, 0.873], [0.375, 0.625, 0.750], [0.875, 0.125, 0.250], [0.875, 0.125, 0.750], [0.375, 0.125, 0.250], [0.375, 0.125, 0.750], [0.875, 0.625, 0.250], [0.375, 0.625, 0.250], [0.875, 0.625, 0.750], [0.250, 0.750, 0.500], [0.625, 0.750, 0.625], [0.250, 0.875, 0.875], [0.750, 0.875, 0.375], [0.125, 0.000, 0.375], [0.000, 0.000, 0.000], [0.750, 0.250, 0.500], [0.000, 0.375, 0.125], [0.625, 0.250, 0.125], [0.500, 0.375, 0.625], [0.125, 0.500, 0.875], [0.500, 0.500, 0.000], [0.069, 0.731, 0.739], [0.281, 0.740, 0.351], [0.269, 0.641, 0.058], [0.070, 0.719, 0.459], [0.769, 0.712, 0.629], [0.788, 0.731, 0.371], [0.981, 0.819, 0.239], [0.167, 0.038, 0.558], [0.288, 0.917, 0.058], [0.269, 0.007, 0.337], [0.490, 0.639, 0.959], [0.670, 0.931, 0.663], [0.969, 0.820, 0.959], [0.569, 0.830, 0.337], [0.891, 0.019, 0.558], [0.389, 0.930, 0.649], [0.757, 0.920, 0.239], [0.580, 0.743, 0.761], [0.083, 0.141, 0.371], [0.257, 0.019, 0.837], [0.180, 0.139, 0.149], [0.861, 0.010, 0.041], [0.359, 0.417, 0.629], [0.990, 0.031, 0.851], [0.760, 0.219, 0.649], [0.391, 0.833, 0.871], [0.889, 0.240, 0.459], [0.570, 0.111, 0.351], [0.493, 0.231, 0.663], [0.667, 0.109, 0.129], [0.170, 0.507, 0.739], [0.993, 0.330, 0.261], [0.361, 0.320, 0.851], [0.859, 0.231, 0.942], [0.181, 0.420, 0.163], [0.781, 0.430, 0.541], [0.080, 0.319, 0.837], [0.260, 0.611, 0.541], [0.481, 0.243, 0.163], [0.462, 0.333, 0.442], [0.583, 0.212, 0.942], [0.769, 0.431, 0.261], [0.962, 0.519, 0.129], [0.981, 0.538, 0.871], [0.680, 0.531, 0.041], [0.469, 0.510, 0.149], [0.481, 0.609, 0.442], [0.681, 0.519, 0.761]], "e_form_ev_per_atom": -2.542}

=====

No. 9
{"formula": "Ca4MgAs4O27", "functional": "PBE-GGA", "state": "optimized geometry", "lattice_angstrom": [[-3.762, 5.653, -0.232], [3.321, -1.472, 13.488], [10.096, 5.472, -2.572]], "species": ["Ca", "Ca", "Ca", "Ca", "Ca", "Ca", "Ca", "Ca", "Mg", "Mg", "As", "As", "As", "As", "As", "As", "As", "As", "O", "O", "O", "O", "O", "O", "O", "O", "O", "O", "O", "O", "O", "O", "O", "O", "O", "O", "O", "O", "O", "O", "O", "O", "O", "O", "O", "O", "O", "O", "O", "O", "O", "O", "O", "O", "O", "O", "O", "O", "O", "O", "O", "O", "O", "O", "O", "O", "O", "O", "O", "O", "O", "O"], "fractional_positions": [[0.093, 0.350, 0.631], [0.907, 0.650, 0.369], [0.566, 0.381, 0.465], [0.434, 0.619, 0.535], [0.735, 0.090, 0.587], [0.265, 0.910, 0.413], [0.246, 0.027, 0.727], [0.754, 0.973, 0.273], [0.263, 0.154, 0.961], [0.737, 0.846, 0.039], [0.217, 0.131, 0.473], [0.783, 0.869, 0.527], [0.057, 0.410, 0.372], [0.943, 0.590, 0.628], [0.565, 0.287, 0.748], [0.435, 0.713, 0.252], [0.785, 0.009, 0.856], [0.215, 0.991, 0.144], [0.383, 0.224, 0.419], [0.617, 0.776, 0.581], [0.069, 0.041, 0.373], [0.931, 0.959, 0.627], [0.068, 0.175, 0.565], [0.932, 0.825, 0.435], [0.362, 0.061, 0.549], [0.638, 0.939, 0.451], [0.093, 0.318, 0.267], [0.907, 0.682, 0.733], [0.997, 0.506, 0.309], [0.003, 0.494, 0.691], [0.278, 0.445, 0.464], [0.722, 0.555, 0.536], [0.884, 0.349, 0.459], [0.116, 0.651, 0.541], [0.756, 0.251, 0.686], [0.244, 0.749, 0.314], [0.441, 0.347, 0.658], [0.559, 0.653, 0.342], [0.702, 0.387, 0.874], [0.298, 0.613, 0.126], [0.408, 0.196, 0.816], [0.592, 0.804, 0.184], [0.702, 0.056, 0.997], [0.298, 0.944, 0.003], [0.016, 0.092, 0.847], [0.984, 0.908, 0.153], [0.802, 0.895, 0.887], [0.198, 0.105, 0.113], [0.612, 0.023, 0.750], [0.388, 0.977, 0.250], [0.161, 0.371, 0.861], [0.839, 0.629, 0.139], [0.626, 0.441, 0.280], [0.374, 0.559, 0.720], [0.699, 0.158, 0.355], [0.301, 0.842, 0.645], [0.277, 0.841, 0.748], [0.723, 0.159, 0.252], [0.002, 0.269, 0.063], [0.998, 0.731, 0.937], [0.458, 0.290, 0.051], [0.542, 0.710, 0.949], [0.341, 0.018, 0.931], [0.659, 0.982, 0.069], [0.467, 0.712, 0.849], [0.533, 0.288, 0.151], [0.974, 0.656, 0.870], [0.026, 0.344, 0.130], [0.681, 0.475, 0.858], [0.319, 0.525, 0.142], [0.244, 0.457, 0.903], [0.756, 0.543, 0.097]], "e_form_ev_per_atom": -1.324, "e_above_lowest_polymorph_ev_per_fu": 0.00}